Density functional theory data (PBE with a Hubbard U) for MgCr2O4 after structural relaxation.

Structure (POSCAR):
```
MgCr2O4
1.0
-2.878 -0.403 4.133
0.295 -0.665 -5.000
3.310 -9.147 1.412
O Mg Cr
8 2 4
direct
0.770 0.230 0.386
0.770 0.230 0.114
0.230 0.770 0.614
0.230 0.770 0.886
0.037 0.963 0.250
0.500 0.500 0.000
0.963 0.037 0.750
0.500 0.500 0.500
0.391 0.609 0.250
0.609 0.391 0.750
0.133 0.867 0.072
0.867 0.133 0.572
0.133 0.867 0.428
0.867 0.133 0.928
```

## Properties
space-group type: No. 63

---

Density functional theory data (PBE with a Hubbard U) for MgFeP2O7 after structural relaxation.

Structure (POSCAR):
```
MgFeP2O7
1.0
6.726 -0.162 0.914
1.083 11.264 -1.659
0.620 -0.206 7.092
P O Fe Mg
8 28 4 4
direct
0.365 0.179 0.485
0.181 0.616 0.373
0.818 0.885 0.127
0.182 0.115 0.873
0.365 0.679 0.985
0.635 0.821 0.515
0.635 0.321 0.015
0.819 0.384 0.627
0.753 0.800 0.284
0.961 0.474 0.699
0.370 0.547 0.400
0.748 0.410 0.125
0.252 0.090 0.374
0.078 0.201 0.063
0.672 0.694 0.560
0.252 0.590 0.874
0.414 0.857 0.528
0.629 0.953 0.100
0.328 0.305 0.440
0.673 0.194 0.060
0.414 0.356 0.027
0.753 0.300 0.783
0.586 0.143 0.472
0.039 0.526 0.301
0.923 0.298 0.437
0.327 0.806 0.940
0.246 0.700 0.216
0.922 0.799 0.937
0.247 0.200 0.716
0.748 0.910 0.626
0.077 0.702 0.563
0.960 0.974 0.199
0.586 0.644 0.973
0.040 0.026 0.801
0.371 0.047 0.900
0.630 0.453 0.600
0.308 0.456 0.651
0.693 0.044 0.850
0.307 0.956 0.150
0.692 0.544 0.349
0.836 0.654 0.769
0.836 0.154 0.269
0.164 0.846 0.731
0.164 0.346 0.231
```

## Properties
space-group type: No. 2

---

Density functional theory data (PBE with a Hubbard U) for BaMo6I2O25 after structural relaxation.

Structure (POSCAR):
```
BaMo6I2O25
1.0
-3.197 -4.490 -5.555
3.712 -1.566 -6.709
8.641 -19.392 2.585
O Mo Ba I
50 12 2 4
direct
0.996 0.187 0.078
0.004 0.813 0.922
0.410 0.976 0.206
0.885 0.186 0.501
0.602 0.670 0.788
0.055 0.725 0.638
0.519 0.941 0.939
0.855 0.662 0.861
0.937 0.718 0.077
0.950 0.050 0.250
0.211 0.842 0.363
0.480 0.286 0.361
0.190 0.418 0.997
0.540 0.597 0.939
0.520 0.714 0.639
0.063 0.282 0.923
0.670 0.602 0.288
0.398 0.330 0.212
0.714 0.520 0.139
0.842 0.211 0.863
0.460 0.403 0.061
0.582 0.810 0.503
0.789 0.158 0.637
0.810 0.582 0.003
0.725 0.055 0.138
0.814 0.115 0.999
0.718 0.937 0.577
0.050 0.950 0.750
0.481 0.059 0.061
0.338 0.145 0.639
0.590 0.024 0.794
0.330 0.398 0.712
0.941 0.519 0.439
0.059 0.481 0.561
0.813 0.004 0.422
0.145 0.338 0.139
0.945 0.275 0.362
0.282 0.063 0.423
0.403 0.460 0.561
0.286 0.480 0.861
0.275 0.945 0.862
0.187 0.996 0.578
0.662 0.855 0.361
0.976 0.410 0.706
0.597 0.540 0.439
0.115 0.814 0.499
0.158 0.789 0.137
0.024 0.590 0.294
0.186 0.885 0.001
0.418 0.190 0.497
0.975 0.915 0.084
0.025 0.085 0.916
0.186 0.426 0.657
0.945 0.431 0.086
0.085 0.025 0.416
0.814 0.574 0.343
0.431 0.945 0.586
0.569 0.055 0.414
0.055 0.569 0.914
0.426 0.186 0.157
0.574 0.814 0.843
0.915 0.975 0.584
0.349 0.651 0.250
0.651 0.349 0.750
0.500 0.739 0.003
0.739 0.500 0.503
0.500 0.261 0.997
0.261 0.500 0.497
```

## Properties
space-group type: No. 15

---

The calculation returns the following energy of formation values, one per record and in order: -17.6, -29.3, -58.1 eV/f.u..